Record 1
Compound: Li7Mn4CoO12
Source: the Materials Project
Functional: PBE+U
Structure: relaxed

## Properties
energy relative to the lowest polymorph listed for this composition = 39 meV per atom
E (MP2020) = -165.6 eV per formula unit
size of the total moment = 16.00 μB per formula unit
energy relative to the elements = -2045 meV per atom

Lattice parameters (Å, degrees): 7.9959 7.9959 11.7204 123.76 123.76 20.70
Fractional coordinates of all 24 atoms:
Li 0.0000 0.0000 0.0000
Li 0.0016 0.0016 0.7576
Li 0.3335 0.3335 0.2539
Li 0.3403 0.3403 0.7557
Li 0.6597 0.6597 0.2443
Li 0.6665 0.6665 0.7461
Li 0.9984 0.9984 0.2424
Mn 0.3364 0.3364 0.5027
Mn 0.3383 0.3383 0.0025
Mn 0.6617 0.6617 0.9975
Mn 0.6636 0.6636 0.4973
Co 0.0000 0.0000 0.5000
O 0.1601 0.1601 0.3798
O 0.1696 0.1696 0.1136
O 0.1704 0.1704 0.6162
O 0.1764 0.1764 0.8937
O 0.4787 0.4787 0.1124
O 0.4944 0.4944 0.3858
O 0.5056 0.5056 0.6142
O 0.5213 0.5213 0.8876
O 0.8236 0.8236 0.1063
O 0.8296 0.8296 0.3838
O 0.8304 0.8304 0.8864
O 0.8399 0.8399 0.6202

***

Record 2
Compound: Li4MnCo3O8
Source: the Materials Project
Functional: PBE+U
Structure: relaxed

## Properties
energy relative to the lowest polymorph listed for this composition = 20 meV per atom
E (MP2020) = -106.1 eV per formula unit
size of the total moment = 6.00 μB per formula unit
energy relative to the elements = -1776 meV per atom

Lattice parameters (Å, degrees): 5.0287 5.9263 5.1428 90.00 108.82 90.00
Fractional coordinates of all 16 atoms:
Li 0.0000 0.0000 0.0000
Li 0.0000 0.5000 0.0000
Li 0.5000 0.2477 0.0000
Li 0.5000 0.7523 0.0000
Mn 0.5000 0.5000 0.5000
Co 0.0000 0.2477 0.5000
Co 0.0000 0.7523 0.5000
Co 0.5000 0.0000 0.5000
O 0.2475 0.0000 0.7312
O 0.2561 0.5000 0.7239
O 0.2650 0.2638 0.2701
O 0.2650 0.7362 0.2701
O 0.7350 0.2638 0.7299
O 0.7350 0.7362 0.7299
O 0.7439 0.5000 0.2761
O 0.7525 0.0000 0.2688

***

Record 3
Compound: Li7Mn4CoO12
Source: the Materials Project
Functional: PBE+U
Structure: relaxed

## Properties
energy relative to the lowest polymorph listed for this composition = 2 meV per atom
E (MP2020) = -166.5 eV per formula unit
size of the total moment = 2.00 μB per formula unit
energy relative to the elements = -2083 meV per atom

Lattice parameters (Å, degrees): 5.0402 5.1221 8.8598 105.75 90.83 100.30
Fractional coordinates of all 24 atoms:
Li 0.0000 0.0000 0.0000
Li 0.0091 0.9920 0.3354
Li 0.0197 0.9728 0.6460
Li 0.5132 0.9819 0.8231
Li 0.5232 0.9926 0.1665
Li 0.5364 0.9794 0.4946
Li 0.7660 0.4799 0.4129
Mn 0.2631 0.4893 0.2509
Mn 0.2635 0.4788 0.5730
Mn 0.7595 0.4968 0.0865
Mn 0.7622 0.4867 0.7398
Co 0.2628 0.4943 0.9143
O 0.1217 0.7154 0.1321
O 0.1314 0.7117 0.7657
O 0.1633 0.7055 0.4470
O 0.3724 0.2662 0.3750
O 0.3975 0.2679 0.0590
O 0.3978 0.2619 0.6975
O 0.6221 0.7141 0.6245
O 0.6239 0.7137 0.2754
O 0.6456 0.7278 0.9692
O 0.8665 0.2752 0.8865
O 0.9043 0.2688 0.1992
O 0.9187 0.2404 0.5384

***

Record 4
Compound: Li7Mn2Co3O12
Source: the Materials Project
Functional: PBE+U
Structure: relaxed

## Properties
energy relative to the lowest polymorph listed for this composition = 41 meV per atom
E (MP2020) = -157.8 eV per formula unit
size of the total moment = 0.00 μB per formula unit
energy relative to the elements = -1892 meV per atom

Lattice parameters (Å, degrees): 5.9063 11.7949 6.4977 103.03 103.74 89.79
Fractional coordinates of all 48 atoms:
Li 0.1666 0.0833 0.6667
Li 0.1667 0.5833 0.6666
Li 0.1666 0.3333 0.6666
Li 0.1666 0.8333 0.6666
Li 0.6666 0.0833 0.6666
Li 0.6667 0.5833 0.6667
Li 0.8287 0.1658 0.3351
Li 0.8288 0.6658 0.3351
Li 0.5045 0.0008 0.9982
Li 0.5046 0.5008 0.9982
Li 0.5027 0.2454 0.9907
Li 0.5027 0.7454 0.9906
Li 0.8306 0.4213 0.3427
Li 0.8306 0.9213 0.3427
Mn 0.9947 0.5015 0.9962
Mn 0.3387 0.1653 0.3374
Mn 0.9945 0.0015 0.9961
Mn 0.3390 0.6652 0.3373
Co 0.6667 0.8333 0.6667
Co 0.9919 0.2477 0.9937
Co 0.3414 0.4189 0.3396
Co 0.6667 0.3333 0.6667
Co 0.9920 0.7477 0.9937
Co 0.3413 0.9189 0.3396
O 0.9188 0.4583 0.6886
O 0.9187 0.9583 0.6886
O 0.4145 0.2083 0.6448
O 0.4146 0.7083 0.6447
O 0.5589 0.0474 0.3326
O 0.5591 0.5474 0.3326
O 0.7743 0.1192 0.0007
O 0.7744 0.6192 0.0007
O 0.2352 0.1201 0.0101
O 0.2353 0.6201 0.0100
O 0.0980 0.0465 0.3234
O 0.0982 0.5466 0.3233
O 0.9059 0.2213 0.6887
O 0.9059 0.7213 0.6888
O 0.4274 0.4454 0.6446
O 0.4274 0.9454 0.6445
O 0.5645 0.2819 0.3284
O 0.5646 0.7819 0.3284
O 0.7688 0.3847 0.0049
O 0.7688 0.8847 0.0049
O 0.2338 0.3828 0.0164
O 0.2338 0.8828 0.0164
O 0.0995 0.2838 0.3169
O 0.0996 0.7838 0.3169

***

Computed E_tot (eV per atom) in order:
-6.209; -5.878; -6.247; -5.888